(1)
This record from Materials Project describes a relaxed CaAg2O4 crystal. The functional is PBE.

**Energy above the most stable polymorph in this dataset**: 0.235 eV/atom
**Corrected total energy (MP2020 scheme)**: -0.185 hartree per atom
**Formation energy**: -1.111 eV per atom

```
CaAg2O4
1.0
5.716 -3.288 0.000
5.716 3.288 0.000
-0.137 0.000 16.230
Ca Ag O
6 12 24
Cartesian
0.000 0.000 0.000
1.818 0.000 13.543
3.739 0.000 10.809
5.557 0.000 2.045
5.664 0.000 8.085
7.634 0.000 5.383
1.799 0.000 7.445
4.760 1.652 5.397
1.920 0.000 3.394
6.601 1.644 10.813
8.444 1.624 16.226
5.663 0.000 14.166
4.760 -1.652 5.397
9.374 0.000 12.759
6.601 -1.644 10.813
9.530 0.000 2.687
9.555 0.000 8.853
8.444 -1.624 16.226
3.150 1.805 4.020
0.035 0.000 11.975
4.494 1.838 1.321
1.690 0.000 9.639
2.098 0.000 1.136
4.932 1.558 9.611
6.443 1.581 6.573
3.671 0.000 15.097
3.797 0.000 6.601
6.765 1.697 15.061
8.266 1.734 12.016
5.561 0.000 4.313
5.786 0.000 11.983
3.150 -1.805 4.020
7.451 0.000 9.649
4.494 -1.838 1.321
4.932 -1.558 9.611
7.761 0.000 1.261
6.443 -1.581 6.573
9.265 0.000 15.032
9.689 0.000 6.531
6.765 -1.697 15.061
11.309 0.000 4.048
8.266 -1.734 12.016
```

(2)
This record from Materials Project describes a relaxed CaDy2Ge4O12 crystal. The functional is PBE.

**Corrected total energy (MP2020 scheme)**: -0.276 hartree per atom
**Formation energy**: -2.831 eV per atom

```
CaDy2Ge4O12
1.0
7.145 -7.159 0.000
7.145 7.159 0.000
0.000 0.000 5.112
Ca Dy Ge O
2 4 8 24
Cartesian
0.000 0.000 0.000
7.145 0.000 0.000
3.572 3.580 0.000
3.572 0.000 0.000
3.572 -3.580 0.000
10.717 0.000 0.000
5.518 5.227 2.562
8.772 5.227 2.562
5.518 1.932 2.562
8.772 1.932 2.562
5.518 -1.932 2.550
8.772 -1.932 2.550
5.518 -5.227 2.550
8.772 -5.227 2.550
2.769 1.917 3.875
1.736 0.792 1.250
5.360 3.580 3.383
7.145 5.311 1.755
4.376 1.917 1.237
1.736 -0.792 3.862
5.409 0.792 3.862
2.769 -1.917 1.237
7.145 1.848 1.755
8.930 3.580 3.383
5.409 -0.792 1.250
4.376 -1.917 3.875
9.914 1.917 1.237
8.881 0.792 3.862
5.360 -3.580 1.729
7.145 -1.848 3.357
11.521 1.917 3.875
8.881 -0.792 1.250
12.553 0.792 1.250
9.914 -1.917 3.875
7.145 -5.311 3.357
8.930 -3.580 1.729
12.553 -0.792 3.862
11.521 -1.917 1.237
```

(3)
This record from Materials Project describes a relaxed Rb2NaHoF6 crystal. The functional is PBE.

**Corrected total energy (MP2020 scheme)**: -0.203 hartree per atom
**Formation energy**: -3.598 eV per atom

```
Rb2NaHoF6
1.0
-3.167 3.167 4.512
3.167 -3.167 4.512
3.167 3.167 -4.512
Rb Na Ho F
2 1 1 6
Cartesian
3.167 0.000 2.256
0.000 3.167 2.256
0.000 0.000 0.000
0.000 0.000 4.512
1.833 1.451 0.000
0.000 0.000 2.338
1.716 -1.334 4.512
1.451 4.501 0.000
0.000 0.000 6.686
1.334 1.716 4.512
```

(4)
This record from Materials Project describes a relaxed Sb11F43 crystal. The functional is PBE.

**Corrected total energy (MP2020 scheme)**: -0.185 hartree per atom
**Formation energy**: -2.661 eV per atom

```
Sb11F43
1.0
11.773 0.000 0.000
0.000 9.289 0.000
-4.805 0.000 16.263
Sb F
22 86
Cartesian
0.000 0.000 0.000
-2.403 4.645 8.131
-2.858 1.595 12.475
-0.455 3.050 4.344
-2.775 4.780 15.628
-0.373 9.153 7.497
2.026 6.952 4.092
-0.376 6.982 12.223
3.264 2.174 2.478
0.861 2.471 10.609
3.116 2.218 6.885
0.713 2.427 15.016
6.254 6.862 1.246
3.852 7.071 9.378
6.106 6.818 5.653
3.703 7.115 13.785
7.344 2.307 4.039
4.941 2.337 12.171
7.340 0.136 8.766
9.743 4.509 0.635
7.422 6.240 11.919
9.825 7.694 3.787
-2.403 0.000 8.131
0.000 4.645 0.000
-3.792 5.658 13.818
-1.389 8.275 5.686
-0.776 1.229 3.759
-3.178 3.416 11.891
-1.747 6.449 8.182
0.656 7.485 0.051
-3.550 0.379 14.863
-1.148 4.266 6.732
-0.767 1.459 6.474
-3.170 3.186 14.605
-2.115 6.273 11.557
0.288 7.661 3.425
1.342 0.526 1.287
-1.061 4.119 9.418
1.183 5.237 4.222
-1.220 8.697 12.353
-0.945 2.025 11.502
1.458 2.619 3.370
-0.041 1.319 9.044
2.362 3.326 0.912
-1.026 6.554 13.977
1.377 7.379 5.845
2.498 6.527 2.300
0.095 7.406 10.432
-0.733 1.308 14.455
1.669 3.337 6.324
1.825 0.733 6.772
-0.578 3.911 14.904
0.319 5.224 12.015
2.722 8.710 3.884
1.528 0.770 11.149
3.931 3.875 3.018
3.556 1.895 5.027
1.153 2.750 13.159
3.652 6.263 4.849
1.249 7.671 12.981
4.942 2.208 0.601
2.539 2.437 8.732
4.915 5.640 0.695
2.512 8.294 8.826
2.672 5.596 9.256
5.074 8.337 1.125
1.893 0.952 15.138
4.296 3.693 7.007
4.455 0.995 7.437
2.053 3.649 15.568
4.428 6.852 7.530
2.026 7.081 15.662
5.718 1.618 3.282
3.315 3.026 11.413
5.814 6.540 3.104
3.411 7.394 11.235
3.036 5.414 13.245
5.439 8.519 5.114
4.245 0.579 12.379
6.648 4.065 4.247
7.545 5.378 1.359
5.143 8.556 9.490
5.298 5.952 9.939
7.701 7.981 1.807
6.872 1.883 5.831
4.470 2.762 13.962
5.591 1.910 10.417
7.993 2.735 2.286
4.605 5.964 15.350
7.008 7.970 7.219
5.509 6.670 12.893
7.912 7.264 4.761
8.187 0.592 3.910
5.784 4.052 12.041
8.028 5.170 6.845
5.626 8.763 14.976
6.679 1.628 12.837
9.082 3.016 4.706
10.137 6.104 1.657
7.734 7.830 9.789
8.115 5.023 9.531
10.518 8.910 1.399
6.311 1.804 16.212
8.714 2.840 8.080
10.146 5.873 4.372
7.743 8.060 12.503
8.356 1.014 10.576
10.759 3.631 2.445
```

(5)
This record from Materials Project describes a relaxed Li2AlGa crystal. The functional is PBE.

**Formation energy**: -0.260 eV per atom

```
Li2AlGa
1.0
0.000 3.130 3.130
3.130 0.000 3.130
3.130 3.130 0.000
Li Al Ga
2 1 1
Cartesian
0.000 0.000 0.000
1.565 1.565 1.565
3.130 3.130 3.130
4.695 4.695 4.695
```

(6)
This record from Materials Project describes a relaxed PrDyIn2 crystal. The functional is PBE.

**Formation energy**: -0.468 eV per atom

```
PrDyIn2
1.0
0.000 3.840 3.840
3.840 0.000 3.840
3.840 3.840 0.000
Pr Dy In
1 1 2
Cartesian
0.000 0.000 0.000
3.840 3.840 3.840
1.920 1.920 1.920
5.759 5.759 5.759
```

(7)
This record from Materials Project describes a relaxed Gd2C3 crystal. The functional is PBE.

**Formation energy**: -0.230 eV per atom

```
Gd2C3
1.0
-4.176 4.176 4.176
4.176 -4.176 4.176
4.176 4.176 -4.176
Gd C
8 12
Cartesian
-1.658 5.834 2.518
4.606 -0.430 0.430
5.834 2.518 -1.658
1.658 1.658 1.658
-1.658 2.518 1.658
0.430 4.606 -0.430
-0.430 0.430 4.606
3.746 3.746 3.746
4.176 -2.088 2.462
4.176 -2.088 3.802
2.462 4.176 -2.088
3.802 4.176 -2.088
4.176 2.088 0.374
4.176 2.088 1.714
2.088 0.374 4.176
2.088 1.714 4.176
0.374 4.176 2.088
1.714 4.176 2.088
-2.088 2.462 4.176
-2.088 3.802 4.176
```

(8)
This record from Materials Project describes a relaxed BeH2O2 crystal. The functional is PBE.

**Energy above the most stable polymorph in this dataset**: 0.098 eV/atom
**Piezoelectric modulus e_max**: 0.3 C/m²
**Corrected total energy (MP2020 scheme)**: -0.220 hartree per atom
**Formation energy**: -1.902 eV per atom

```
BeH2O2
1.0
5.039 0.000 0.000
0.000 5.317 0.000
0.000 0.000 5.416
Be H O
4 8 8
Cartesian
0.376 1.120 2.028
2.144 4.198 4.736
2.895 1.539 3.388
4.664 3.778 0.680
0.214 4.446 3.935
1.211 0.741 4.432
1.309 4.577 1.724
2.305 0.871 1.227
2.734 3.530 1.481
3.731 1.918 0.985
3.828 3.399 3.693
4.825 1.788 4.190
0.357 4.790 1.728
0.498 3.856 4.666
2.022 1.461 1.958
2.163 0.527 4.436
2.876 3.186 3.689
3.017 4.120 0.750
4.542 1.198 3.459
4.682 2.131 0.981
```

(9)
This record from Materials Project describes a relaxed BaB2Se6 crystal. The functional is PBE.

**Corrected total energy (MP2020 scheme)**: -0.181 hartree per atom
**Formation energy**: -0.890 eV per atom

```
BaB2Se6
1.0
5.738 -3.890 0.000
5.738 3.890 0.000
0.000 0.000 10.641
Ba B Se
2 4 12
Cartesian
0.000 0.000 0.000
5.738 0.000 5.320
1.300 0.000 5.320
4.438 0.000 0.000
7.038 0.000 0.000
10.176 0.000 5.320
2.381 1.437 6.299
5.738 3.119 6.760
3.357 1.437 9.662
2.381 -1.437 4.342
5.738 0.771 1.440
3.357 -1.437 0.979
8.119 1.437 9.662
5.738 -0.771 9.201
9.095 1.437 6.299
8.119 -1.437 0.979
5.738 -3.119 3.881
9.095 -1.437 4.342
```

(10)
This record from Materials Project describes a relaxed NbCd3 crystal. The functional is PBE.

**Formation energy**: 0.145 eV per atom

```
NbCd3
1.0
4.320 0.000 0.000
0.000 4.320 0.000
0.000 0.000 4.320
Nb Cd
1 3
Cartesian
0.000 0.000 0.000
0.000 2.160 2.160
2.160 0.000 2.160
2.160 2.160 0.000
```

(11)
This record from Materials Project describes a relaxed Zr2N2O crystal. The functional is PBE.

**Corrected total energy (MP2020 scheme)**: -0.363 hartree per atom
**Formation energy**: -2.135 eV per atom

```
Zr2N2O
1.0
5.510 0.000 0.000
0.021 7.079 0.000
0.005 2.288 9.617
Zr N O
12 12 6
Cartesian
0.000 0.000 0.000
0.029 8.584 6.414
0.422 4.433 2.328
0.477 5.161 5.528
0.505 5.916 8.748
2.703 3.730 7.563
2.849 3.027 4.353
2.886 2.300 1.128
3.186 5.694 2.024
3.220 6.443 5.225
3.262 7.218 8.431
5.387 0.875 3.174
1.340 3.203 5.988
1.363 3.979 9.230
1.982 5.011 3.868
1.998 5.775 7.075
2.001 4.278 0.680
4.069 0.528 1.515
4.083 1.305 4.824
4.117 2.088 7.966
4.183 3.245 2.625
4.730 5.890 3.659
4.759 5.060 0.478
4.767 6.572 6.899
1.257 6.705 1.815
1.291 7.450 4.952
1.328 8.204 8.201
1.428 2.411 2.792
4.030 4.192 5.754
4.054 4.937 8.965
```

(12)
This record from Materials Project describes a relaxed LaEu2NbO6 crystal. The functional is PBE.

**Corrected total energy (MP2020 scheme)**: -0.358 hartree per atom
**Formation energy**: -3.214 eV per atom

```
LaEu2NbO6
1.0
0.000 4.336 4.336
4.336 0.000 4.336
4.336 4.336 0.000
La Eu Nb O
1 2 1 6
Cartesian
0.000 0.000 0.000
2.168 2.168 2.168
6.505 6.505 6.505
4.336 4.336 4.336
4.336 4.336 2.328
4.336 2.328 4.336
6.345 4.336 4.336
2.328 4.336 4.336
4.336 6.345 4.336
4.336 4.336 6.345
```